Entry 1:
Y2Ni12As7: optimized geometry, PBE-GGA.

The space group is P-6 (No. 174) and the conventional cell measures 9.3527, 9.3527 and 3.8242 Å, with angles of 90.00, 90.00 and 120.00 degrees. The asymmetric unit holds Y at (0.0000, 0.0000, 0.0000), Y at (0.3333, 0.6667, 0.5000), Ni at (0.0476, 0.7695, 0.5000), Ni at (0.0927, 0.3804, 0.0000), Ni at (0.4557, 0.2377, 0.0000), Ni at (0.5142, 0.0544, 0.5000), As at (0.0728, 0.6292, 0.0000), As at (0.2623, 0.0460, 0.5000) and As at (0.6667, 0.3333, 0.5000).

As for the total energy: -126.158 eV per cell. For the magnetic moment, the calculation gives 0.000 Bohr magnetons per cell. For the formation enthalpy at 0 K, the calculation gives -0.536 eV/atom.

Entry 2:
Cu2HgI4: optimized geometry, PBE-GGA.

The space group is P-42m (No. 111) and the conventional cell measures 6.152, 6.152 and 6.440 Å, with angles of 90.00, 90.00 and 90.00 degrees. The asymmetric unit holds Cu at (0.000, 0.500, 0.000), Hg at (0.000, 0.000, 0.500) and I at (0.264, 0.264, 0.771).

For the piezoelectric modulus e_max, the calculation gives 0.15 C/m2. As for the total energy: -16.189 eV per cell. For the formation enthalpy at 0 K, the calculation gives -0.444 eV/atom.

Entry 3:
VIn3S4: optimized geometry, PBE-GGA.

The space group is I-43m (No. 217) and the conventional cell measures 7.470, 7.470 and 7.470 Å, with angles of 90.00, 90.00 and 90.00 degrees. The asymmetric unit holds V at (0.000, 0.000, 0.000), In at (0.000, 0.000, 0.500) and S at (0.167, 0.167, 0.833).

As for the total energy: -75.964 eV per cell. For the magnetic moment, the calculation gives 0.000 Bohr magnetons per cell. For the formation enthalpy at 0 K, the calculation gives -0.764 eV/atom.

Entry 4:
LiCuP2O6: optimized geometry, PBE-GGA.

The space group is C222 (No. 21) and the conventional cell measures 5.074, 9.402 and 5.648 Å, with angles of 90.00, 90.00 and 90.00 degrees. The asymmetric unit holds Li at (0.000, 0.000, 0.000), Cu at (0.000, 0.500, 0.000), P at (0.250, 0.250, 0.330), O at (0.000, 0.264, 0.500) and O at (0.227, 0.112, 0.195).

For the piezoelectric modulus e_max, the calculation gives 1.19 C/m2. As for the total energy: -130.308 eV per cell. For the magnetic moment, the calculation gives 0.000 Bohr magnetons per cell. For the formation enthalpy at 0 K, the calculation gives -2.275 eV/atom. The energy above the most stable polymorph in this dataset comes out at 36.6 kJ/mol of formula units.

Entry 5:
GeN2OF6: optimized geometry, PBE-GGA.

The space group is Fm-3m (No. 225) and the conventional cell measures 8.198, 8.198 and 8.198 Å, with angles of 90.00, 90.00 and 90.00 degrees. The asymmetric unit holds Ge at (0.000, 0.000, 0.000), N at (0.250, 0.250, 0.250), O at (0.000, 0.000, 0.500) and F at (0.000, 0.000, 0.224).

As for the total energy: -145.417 eV per cell. For the magnetic moment, the calculation gives 32.000 Bohr magnetons per cell. For the formation enthalpy at 0 K, the calculation gives -0.208 eV/atom.

Entry 6:
UAlCo: optimized geometry, PBE-GGA.

The space group is P-62m (No. 189) and the conventional cell measures 6.5630, 6.5630 and 4.0358 Å, with angles of 90.00, 90.00 and 120.00 degrees. The asymmetric unit holds U at (0.0000, 0.4235, 0.0000), Al at (0.0000, 0.7643, 0.5000), Co at (0.0000, 0.0000, 0.0000) and Co at (0.3333, 0.6667, 0.5000).

As for the total energy: -69.234 eV per cell. For the magnetic moment, the calculation gives 3.391 Bohr magnetons per cell. For the formation enthalpy at 0 K, the calculation gives -0.311 eV/atom.